Record 1
The following is a DFT calculation (PBE with a Hubbard U) of an optimized crystal structure of Mn3Fe8CuO16.

Cell: 10.6091 10.6091 10.6091 Å, 33.49 33.49 33.49°
Closest atoms and distances in Å follow each position.
Fractional coordinates of all 28 atoms:
Mn (0.0000, 0.0000, 0.0000)  4 O 2.08-2.09
Mn (0.1257, 0.1257, 0.1257)  4 O 2.07-2.08
Mn (0.6250, 0.6250, 0.6250)  4 O 2.07-2.08
Fe (0.0626, 0.0626, 0.5617)  6 O 2.04-2.07
Fe (0.0626, 0.5617, 0.0626)  6 O 2.04-2.07
Fe (0.0641, 0.5629, 0.5629)  6 O 2.05-2.07
Fe (0.3128, 0.3128, 0.3128)  6 O 2.05
Fe (0.5617, 0.0626, 0.0626)  6 O 2.04-2.07
Fe (0.5629, 0.0641, 0.5629)  6 O 2.05-2.07
Fe (0.5629, 0.5629, 0.0641)  6 O 2.05-2.07
Fe (0.8129, 0.8129, 0.8129)  6 O 2.06-2.07
Cu (0.5003, 0.5003, 0.5003)  4 O 2.03
O (0.1608, 0.7034, 0.7034)  1 Cu 2.03, 3 Fe 2.07
O (0.1946, 0.1946, 0.1946)  3 Fe 2.04, 1 Mn 2.07
O (0.2082, 0.2082, 0.6542)  3 Fe 2.05-2.06, 1 Mn 2.08
O (0.2082, 0.6542, 0.2082)  3 Fe 2.05-2.06, 1 Mn 2.08
O (0.4174, 0.4174, 0.9717)  3 Fe 2.05-2.06, 1 Mn 2.07
O (0.4174, 0.9717, 0.4174)  3 Fe 2.05-2.06, 1 Mn 2.07
O (0.4328, 0.4328, 0.4328)  1 Cu 2.03, 3 Fe 2.07
O (0.4709, 0.9179, 0.9179)  3 Fe 2.05-2.06, 1 Mn 2.08
O (0.6542, 0.2081, 0.2082)  3 Fe 2.05-2.06, 1 Mn 2.08
O (0.6944, 0.6944, 0.6944)  3 Fe 2.07, 1 Mn 2.08
O (0.7034, 0.1608, 0.7034)  1 Cu 2.03, 3 Fe 2.07
O (0.7034, 0.7034, 0.1608)  1 Cu 2.03, 3 Fe 2.07
O (0.9179, 0.4709, 0.9179)  3 Fe 2.05-2.06, 1 Mn 2.08
O (0.9179, 0.9179, 0.4709)  3 Fe 2.05-2.06, 1 Mn 2.08
O (0.9305, 0.9305, 0.9305)  3 Fe 2.05, 1 Mn 2.09
O (0.9717, 0.4174, 0.4174)  3 Fe 2.05-2.06, 1 Mn 2.07

Results
- Size of the total moment: 54.00 μB/cell



Record 2
The following is a DFT calculation (PBE with a Hubbard U) of an optimized crystal structure of Mn2Fe3CuP6O24.

Cell: 8.5479 8.5479 8.5479 Å, 60.83 60.83 60.83°
Closest atoms and distances in Å follow each position.
Fractional coordinates of all 36 atoms:
Mn (0.0000, 0.0000, 0.0000)  6 O 2.16-2.19
Mn (0.4997, 0.4997, 0.4997)  6 O 2.18
Fe (0.3541, 0.3541, 0.3541)  6 O 1.93-2.09
Fe (0.6456, 0.6456, 0.6456)  6 O 1.93-2.09
Fe (0.8544, 0.8544, 0.8544)  6 O 1.94-2.09
Cu (0.1445, 0.1445, 0.1445)  6 O 1.97-2.10
P (0.0453, 0.4549, 0.7497)  4 O 1.52-1.56
P (0.2495, 0.9538, 0.5445)  4 O 1.52-1.57
P (0.4549, 0.7497, 0.0453)  4 O 1.52-1.56
P (0.5445, 0.2495, 0.9538)  4 O 1.52-1.57
P (0.7497, 0.0453, 0.4549)  4 O 1.52-1.56
P (0.9538, 0.5445, 0.2495)  4 O 1.52-1.57
O (0.0055, 0.6106, 0.8163)  1 P 1.52
O (0.0544, 0.2578, 0.9101)  1 P 1.56
O (0.0892, 0.9409, 0.7418)  1 P 1.56
O (0.1106, 0.5025, 0.3158)  1 P 1.52
O (0.1861, 0.9825, 0.3901)  1 P 1.53
O (0.2428, 0.4395, 0.5899)  1 P 1.56
O (0.2578, 0.9101, 0.0544)  1 P 1.56
O (0.3158, 0.1106, 0.5025)  1 P 1.52
O (0.3901, 0.1861, 0.9825)  1 P 1.53
O (0.4098, 0.7557, 0.5623)  1 P 1.57
O (0.4395, 0.5899, 0.2428)  1 P 1.56
O (0.4957, 0.6811, 0.8898)  1 P 1.53
O (0.5025, 0.3158, 0.1106)  1 P 1.52
O (0.5623, 0.4098, 0.7557)  1 P 1.57
O (0.5899, 0.2428, 0.4395)  1 P 1.56
O (0.6106, 0.8163, 0.0055)  1 P 1.52
O (0.6811, 0.8898, 0.4957)  1 P 1.53
O (0.7418, 0.0892, 0.9409)  1 P 1.56
O (0.7557, 0.5623, 0.4098)  1 P 1.57
O (0.8163, 0.0055, 0.6106)  1 P 1.52
O (0.8898, 0.4957, 0.6811)  1 P 1.53
O (0.9101, 0.0544, 0.2578)  1 P 1.56
O (0.9409, 0.7418, 0.0892)  1 P 1.56
O (0.9825, 0.3901, 0.1861)  1 P 1.53

Results
- Size of the total moment: 21.00 μB/cell



Record 3
The following is a DFT calculation (PBE with a Hubbard U) of an optimized crystal structure of NaV3Fe2CuO12.

Cell: 6.7454 8.3384 9.9451 Å, 107.10 103.81 102.09°
Closest atoms and distances in Å follow each position.
Fractional coordinates of all 38 atoms:
Na (0.0000, 0.0000, 0.0000)  2 O 2.31-2.35
Na (0.4958, 0.0259, 0.0547)  4 O 2.24-2.39
V (0.0791, 0.7960, 0.6776)  4 O 1.72-1.77
V (0.2616, 0.8618, 0.2906)  4 O 1.69-1.81
V (0.3761, 0.4348, 0.2195)  4 O 1.66-1.80
V (0.5981, 0.6132, 0.8836)  4 O 1.66-1.80
V (0.7118, 0.1883, 0.8115)  4 O 1.70-1.80
V (0.8960, 0.2522, 0.4249)  4 O 1.72-1.78
Fe (0.1083, 0.5737, 0.9448)  6 O 1.94-2.15
Fe (0.4409, 0.3199, 0.5349)  6 O 1.95-2.10
Fe (0.5346, 0.7290, 0.5675)  6 O 1.95-2.10
Fe (0.8671, 0.4746, 0.1597)  5 O 1.92-2.11
Cu (0.2097, 0.2376, 0.7552)  5 O 1.94-2.15
Cu (0.7631, 0.8105, 0.3456)  5 O 1.92-2.15
O (0.0085, 0.7507, 0.2933)  1 V 1.77, 1 Cu 1.96
O (0.0554, 0.6856, 0.8000)  1 V 1.74, 1 Fe 1.94
O (0.1485, 0.2967, 0.5586)  1 V 1.78
O (0.1571, 0.4995, 0.1307)  1 V 1.80
O (0.1736, 0.0180, 0.7907)  1 V 1.74, 1 Cu 1.94
O (0.2445, 0.8223, 0.1044)  1 V 1.75
O (0.2570, 0.7420, 0.5872)  1 V 1.72
O (0.3064, 0.0803, 0.3741)  1 V 1.69
O (0.3207, 0.2206, 0.1313)  1 V 1.66
O (0.3569, 0.5072, 0.9013)  1 V 1.76
O (0.4093, 0.4719, 0.4097)  1 V 1.77
O (0.4836, 0.8040, 0.3852)  1 V 1.81, 1 Cu 2.01
O (0.4890, 0.2447, 0.7174)  1 V 1.80, 1 Cu 2.00
O (0.5658, 0.5774, 0.6937)  1 V 1.77
O (0.6174, 0.5425, 0.2026)  1 V 1.76
O (0.6578, 0.8281, 0.9704)  1 V 1.66
O (0.6715, 0.9689, 0.7315)  1 V 1.70
O (0.7188, 0.3076, 0.5164)  1 V 1.72
O (0.7292, 0.2279, 0.9966)  1 V 1.74
O (0.7973, 0.0308, 0.3161)  1 V 1.73, 1 Cu 1.92
O (0.8180, 0.5493, 0.9722)  1 V 1.80
O (0.8272, 0.7523, 0.5452)  1 V 1.77
O (0.9177, 0.3668, 0.3052)  1 V 1.74, 1 Fe 1.92
O (0.9669, 0.2984, 0.8104)  1 V 1.78, 1 Cu 1.96

Results
- Size of the total moment: 22.00 μB/cell



Record 4
The following is a DFT calculation (PBE with a Hubbard U) of an optimized crystal structure of NbFe3Cu2P6O24.

Cell: 8.6513 8.6513 8.6513 Å, 60.20 60.20 60.20°
Closest atoms and distances in Å follow each position.
Fractional coordinates of all 36 atoms:
Nb (0.0000, 0.0000, 0.0000)  6 O 1.96-2.03
Fe (0.2134, 0.2134, 0.2134)  6 O 1.94-2.07
Fe (0.5022, 0.5022, 0.5022)  6 O 1.95-2.08
Fe (0.7127, 0.7127, 0.7127)  6 O 1.93-2.07
Cu (0.3577, 0.3577, 0.3577)  6 O 2.23-2.24
Cu (0.8521, 0.8521, 0.8521)  6 O 2.16-2.39
P (0.1104, 0.8126, 0.4070)  4 O 1.52-1.58
P (0.3219, 0.6009, 0.9014)  4 O 1.52-1.59
P (0.4070, 0.1104, 0.8126)  4 O 1.52-1.58
P (0.6009, 0.9014, 0.3219)  4 O 1.52-1.59
P (0.8126, 0.4070, 0.1104)  4 O 1.52-1.58
P (0.9014, 0.3219, 0.6009)  4 O 1.52-1.59
O (0.0483, 0.8608, 0.2404)  1 P 1.58
O (0.0965, 0.3014, 0.4423)  1 P 1.55
O (0.1252, 0.7691, 0.9194)  1 P 1.59
O (0.1673, 0.9737, 0.3642)  1 P 1.52
O (0.2404, 0.0483, 0.8608)  1 P 1.58
O (0.2721, 0.6209, 0.4123)  1 P 1.55
O (0.3014, 0.4423, 0.0965)  1 P 1.55
O (0.3525, 0.5487, 0.7422)  1 P 1.52
O (0.3642, 0.1673, 0.9737)  1 P 1.52
O (0.4123, 0.2721, 0.6209)  1 P 1.55
O (0.4423, 0.0965, 0.3014)  1 P 1.55
O (0.4750, 0.6664, 0.8639)  1 P 1.52
O (0.5487, 0.7422, 0.3525)  1 P 1.52
O (0.5956, 0.9437, 0.7988)  1 P 1.55
O (0.6209, 0.4123, 0.2721)  1 P 1.55
O (0.6664, 0.8639, 0.4750)  1 P 1.52
O (0.7422, 0.3525, 0.5487)  1 P 1.52
O (0.7691, 0.9194, 0.1252)  1 P 1.59
O (0.7988, 0.5956, 0.9437)  1 P 1.55
O (0.8608, 0.2404, 0.0483)  1 P 1.58
O (0.8639, 0.4750, 0.6664)  1 P 1.52
O (0.9194, 0.1252, 0.7691)  1 P 1.59
O (0.9437, 0.7988, 0.5956)  1 P 1.55
O (0.9737, 0.3642, 0.1673)  1 P 1.52

Results
- Size of the total moment: 15.22 μB/cell



| no. | volume (Å³ per cell) | formation energy from the elements (eV/atom) |
| --- | --- | --- |
| 1 | 323.85 | -1.6825 |
| 2 | 449.87 | -2.2383 |
| 3 | 495.07 | -2.0334 |
| 4 | 459.89 | -2.3136 |